A plane-wave DFT calculation with r2SCAN was carried out for a relaxed structure of Na3AuO3.

a = 9.3377 Å, b = 9.3377 Å, c = 4.5087 Å
α = 90.00°, β = 90.00°, γ = 90.00°
Closest atoms and distances in Å follow each position.
Fractional coordinates of all 28 atoms:
1 Na 0.1199 0.3736 0.0000  3 O 2.25-2.30
2 Na 0.1264 0.6199 0.5000  3 O 2.25-2.30
3 Na 0.1434 0.1434 0.5000  4 O 2.25-2.32
4 Na 0.3566 0.6434 0.0000  4 O 2.25-2.32
5 Na 0.3736 0.1199 0.0000  3 O 2.25-2.30
6 Na 0.3801 0.8736 0.5000  3 O 2.25-2.30
7 Na 0.6199 0.1264 0.5000  3 O 2.25-2.30
8 Na 0.6264 0.8801 0.0000  3 O 2.25-2.30
9 Na 0.6434 0.3566 0.0000  4 O 2.25-2.32
10 Na 0.8566 0.8566 0.5000  4 O 2.25-2.32
11 Na 0.8736 0.3801 0.5000  3 O 2.25-2.30
12 Na 0.8801 0.6264 0.0000  3 O 2.25-2.30
13 Au 0.1177 0.8823 0.0000  4 O 1.99-2.07
14 Au 0.3823 0.3823 0.5000  4 O 1.99-2.07
15 Au 0.6177 0.6177 0.5000  4 O 1.99-2.07
16 Au 0.8823 0.1177 0.0000  4 O 1.99-2.07
17 O 0.1032 0.1032 0.0000  2 Au 2.07
18 O 0.1168 0.6689 0.0000  1 Au 1.99
19 O 0.1689 0.3832 0.5000  1 Au 1.99
20 O 0.3311 0.8832 0.0000  1 Au 1.99
21 O 0.3832 0.1689 0.5000  1 Au 1.99
22 O 0.3968 0.6032 0.5000  2 Au 2.07
23 O 0.6032 0.3968 0.5000  2 Au 2.07
24 O 0.6168 0.8311 0.5000  1 Au 1.99
25 O 0.6689 0.1168 0.0000  1 Au 1.99
26 O 0.8311 0.6168 0.5000  1 Au 1.99
27 O 0.8832 0.3311 0.0000  1 Au 1.99
28 O 0.8968 0.8968 0.0000  2 Au 2.07

Magnetic moment ... 0.0 μB per formula unit
Symmetry ... P4_2/mnm (136)
Final energy ... -12.54 eV per atom
Energy of formation from the pure elements ... -1.23 eV/atom